Entry 1:
# MgAl2Ge2 (PBE, relaxed)
# **Energy relative to the elements**: -0.0827 eV per atom
# **Energy**: -3.750 eV/atom
data_MgAl2Ge2
_cell_length_a 4.1277
_cell_length_b 4.1277
_cell_length_c 6.8028
_cell_angle_alpha 90.00
_cell_angle_beta 90.00
_cell_angle_gamma 120.00
_space_group_name_H-M_alt 'P -3 m 1'
_space_group_IT_number 164
_space_group_name_Hall '-P 3 2"'
loop_
_atom_site_label
_atom_site_type_symbol
_atom_site_fract_x
_atom_site_fract_y
_atom_site_fract_z
Mg1 Mg 0.0000 0.0000 0.0000
Al1 Al 0.3333 0.6667 0.6326
Ge1 Ge 0.3333 0.6667 0.2426

---

Entry 2:
# MnSbS2Br (PBE, relaxed)
# **Energy relative to the elements**: -0.7984 eV per atom
# **Energy**: -5.131 eV/atom
# **Spin magnetization**: 20.00 μB per cell
data_MnSbS2Br
_cell_length_a 12.7257
_cell_length_b 3.8627
_cell_length_c 9.5990
_cell_angle_alpha 90.00
_cell_angle_beta 91.46
_cell_angle_gamma 90.00
_space_group_name_H-M_alt 'C 1 2/m 1'
_space_group_IT_number 12
loop_
_space_group_symop_operation_xyz
'x,y,z'
'-x,-y,-z'
'-x,y,-z'
'x,-y,z'
'x+1/2,y+1/2,z'
'-x+1/2,-y+1/2,-z'
'-x+1/2,y+1/2,-z'
'x+1/2,-y+1/2,z'
loop_
_atom_site_label
_atom_site_type_symbol
_atom_site_fract_x
_atom_site_fract_y
_atom_site_fract_z
Mn1 Mn 0.0000 0.0000 0.0000
Mn2 Mn 0.0000 0.0000 0.5000
Sb1 Sb 0.2104 0.5000 0.3094
S1 S 0.0745 0.0000 0.2576
S2 S 0.1380 0.5000 0.5505
Br1 Br 0.1327 0.5000 0.9308

---

Entry 3:
# NaCaAlSi2O7 (PBE, relaxed)
# **Energy relative to the elements**: -3.0349 eV per atom
# **Energy**: -7.014 eV/atom
# **Spin magnetization**: 0.00 μB per cell
data_NaCaAlSi2O7
_cell_length_a 7.6424
_cell_length_b 7.6424
_cell_length_c 9.7157
_cell_angle_alpha 90.00
_cell_angle_beta 90.00
_cell_angle_gamma 90.00
_space_group_name_H-M_alt 'P -4 21 m'
_space_group_IT_number 113
loop_
_space_group_symop_operation_xyz
'x,y,z'
'y,-x,-z'
'-x,-y,z'
'-y,x,-z'
'x+1/2,-y+1/2,-z'
'y+1/2,x+1/2,z'
'-x+1/2,y+1/2,-z'
'-y+1/2,-x+1/2,z'
loop_
_atom_site_label
_atom_site_type_symbol
_atom_site_fract_x
_atom_site_fract_y
_atom_site_fract_z
Na1 Na 0.1401 0.3599 0.4809
Ca1 Ca 0.1381 0.3619 0.9722
Al1 Al 0.0000 0.0000 0.0000
Al2 Al 0.0000 0.0000 0.5000
Si1 Si 0.1491 0.6491 0.1985
Si2 Si 0.1489 0.6489 0.6855
O1 O 0.0000 0.5000 0.1473
O2 O 0.0000 0.5000 0.6420
O3 O 0.0786 0.8223 0.1040
O4 O 0.0830 0.8324 0.6131
O5 O 0.1483 0.6483 0.8533
O6 O 0.1628 0.6628 0.3572